## SbI2F6 (meta-GGA r2SCAN)

Data for SbI2F6 after structural relaxation.

Lattice parameters (Å, degrees): 5.963 7.918 8.159 77.33 79.88 80.81
Atoms (fractional coordinates):
Sb 0.054 0.201 0.184
Sb 0.946 0.799 0.816
I 0.387 0.603 0.267
I 0.391 0.253 0.565
I 0.609 0.747 0.435
I 0.613 0.397 0.733
F 0.067 0.677 0.014
F 0.091 0.624 0.692
F 0.186 0.086 0.384
F 0.205 0.921 0.741
F 0.216 0.024 0.073
F 0.313 0.328 0.120
F 0.687 0.672 0.880
F 0.784 0.976 0.927
F 0.795 0.079 0.259
F 0.814 0.914 0.616
F 0.909 0.376 0.308
F 0.933 0.323 0.986

## Properties
SG: P-1 (2)
Calculated volume: 20.4 Å³/atom
Energy of formation from the pure elements: -1.88 eV per atom
Calculated total energy: -12.275 eV per atom
Magnetization: 0.0 μB per cell
ρ: 4.4 g cm⁻³